Below is a relaxed structure of Mg2Ag, with properties calculated at the r2SCAN level.

a = 5.563 Å, b = 5.563 Å, c = 4.784 Å
α = 90.00°, β = 90.00°, γ = 51.13°
Positions (direct):
Mg 0.095 0.598 0.750
Mg 0.402 0.905 0.750
Mg 0.598 0.095 0.250
Mg 0.905 0.402 0.250
Ag 0.253 0.747 0.250
Ag 0.747 0.253 0.750

Results
**SG**: Cmcm
**V**: 57.6 Å³/f.u.
**Total moment**: 0.00 μB per cell
**Energy of formation from the pure elements**: -0.1429 eV per atom
**DFT total energy**: -60.25 eV per cell